No. 1
Computed, not measured: an optimized crystal structure of Er3ReB7 at the GGA-PBE level of DFT.

Properties
As for the crystal system: orthorhombic. Its space-group type is Cmcm. The size of the total moment comes out at 0.0 μB/cell. The value obtained for the volume is 11.626 Å³/atom. For the mass density, the calculation gives 9.92 Mg/m³. The value obtained for the formation energy is -62.5 kJ per mole of atoms.

Structure (POSCAR):
```
Er3ReB7
1.0
1.757 -7.839 0.000
1.757 7.839 0.000
0.000 0.000 9.287
Er Re B
6 2 14
Direct
0.105 0.895 0.560
0.105 0.895 0.940
0.242 0.758 0.250
0.758 0.242 0.750
0.895 0.105 0.060
0.895 0.105 0.440
0.053 0.947 0.250
0.947 0.053 0.750
0.273 0.727 0.534
0.273 0.727 0.966
0.368 0.632 0.650
0.368 0.632 0.850
0.456 0.544 0.250
0.480 0.520 0.595
0.480 0.520 0.905
0.520 0.480 0.095
0.520 0.480 0.405
0.544 0.456 0.750
0.632 0.368 0.150
0.632 0.368 0.350
0.727 0.273 0.034
0.727 0.273 0.466
```

---

No. 2
Computed, not measured: an optimized crystal structure of Er2B6Rh9 at the GGA-PBE level of DFT.

Properties
As for the crystal system: hexagonal. Its space-group type is P6/mmm. The value obtained for the volume is 13.672 Å³/atom. For the mass density, the calculation gives 9.47 Mg/m³. The value obtained for the formation energy is -61.0 kJ per mole of atoms.

Structure (POSCAR):
```
Er2B6Rh9
1.0
5.596 0.000 0.000
-2.798 4.847 0.000
0.000 0.000 8.569
Er B Rh
2 6 9
Direct
0.000 0.000 0.206
0.000 0.000 0.794
0.333 0.667 0.167
0.333 0.667 0.500
0.333 0.667 0.833
0.667 0.333 0.167
0.667 0.333 0.500
0.667 0.333 0.833
0.000 0.500 0.000
0.000 0.500 0.335
0.000 0.500 0.665
0.500 0.000 0.000
0.500 0.000 0.335
0.500 0.000 0.665
0.500 0.500 0.000
0.500 0.500 0.335
0.500 0.500 0.665
```

---

No. 3
Computed, not measured: an optimized crystal structure of ErB4Rh at the GGA-PBE level of DFT.

Properties
As for the crystal system: orthorhombic. Its space-group type is Pbam. The value obtained for the volume is 10.144 Å³/atom. For the mass density, the calculation gives 8.55 Mg/m³. The value obtained for the formation energy is -60.3 kJ per mole of atoms.

Structure (POSCAR):
```
ErB4Rh
1.0
5.942 0.000 0.000
0.000 11.529 0.000
0.000 0.000 3.554
Er B Rh
4 16 4
Direct
0.131 0.149 0.000
0.369 0.649 0.000
0.631 0.351 0.000
0.869 0.851 0.000
0.022 0.693 0.500
0.113 0.547 0.500
0.136 0.969 0.500
0.209 0.813 0.500
0.291 0.313 0.500
0.364 0.469 0.500
0.387 0.047 0.500
0.478 0.193 0.500
0.522 0.807 0.500
0.613 0.953 0.500
0.636 0.531 0.500
0.709 0.687 0.500
0.791 0.187 0.500
0.864 0.031 0.500
0.887 0.453 0.500
0.978 0.307 0.500
0.143 0.405 0.000
0.357 0.905 0.000
0.643 0.095 0.000
0.857 0.595 0.000
```

---

No. 4
Computed, not measured: an optimized crystal structure of Er2B6Rh at the GGA-PBE level of DFT.

Properties
As for the crystal system: orthorhombic. Its space-group type is Pbam. The value obtained for the volume is 10.606 Å³/atom. For the mass density, the calculation gives 8.74 Mg/m³. The value obtained for the formation energy is -63.6 kJ per mole of atoms.

Structure (POSCAR):
```
Er2B6Rh
1.0
9.146 0.000 0.000
0.000 11.467 0.000
0.000 0.000 3.641
Er B Rh
8 24 4
Direct
0.055 0.126 0.000
0.178 0.413 0.000
0.322 0.913 0.000
0.445 0.626 0.000
0.555 0.374 0.000
0.678 0.087 0.000
0.822 0.587 0.000
0.945 0.874 0.000
0.017 0.288 0.500
0.054 0.566 0.500
0.111 0.970 0.500
0.134 0.816 0.500
0.205 0.235 0.500
0.249 0.079 0.500
0.251 0.579 0.500
0.295 0.735 0.500
0.366 0.316 0.500
0.389 0.470 0.500
0.446 0.066 0.500
0.483 0.788 0.500
0.517 0.212 0.500
0.554 0.934 0.500
0.611 0.530 0.500
0.634 0.684 0.500
0.705 0.265 0.500
0.749 0.421 0.500
0.751 0.921 0.500
0.795 0.765 0.500
0.866 0.184 0.500
0.889 0.030 0.500
0.946 0.434 0.500
0.983 0.712 0.500
0.140 0.678 0.000
0.360 0.178 0.000
0.640 0.822 0.000
0.860 0.322 0.000
```

---

No. 5
Computed, not measured: an optimized crystal structure of ErBRh3 at the GGA-PBE level of DFT.

Properties
As for the crystal system: cubic. Its space-group type is Pm-3m. The value obtained for the volume is 14.750 Å³/atom. For the mass density, the calculation gives 10.96 Mg/m³. The value obtained for the formation energy is -78.6 kJ per mole of atoms.

Structure (POSCAR):
```
ErBRh3
1.0
4.194 0.000 0.000
0.000 4.194 0.000
0.000 0.000 4.194
Er B Rh
1 1 3
Direct
0.000 0.000 0.000
0.500 0.500 0.500
0.000 0.500 0.500
0.500 0.000 0.500
0.500 0.500 0.000
```

---

No. 6
Computed, not measured: an optimized crystal structure of ErB4Rh7 at the GGA-PBE level of DFT.

Properties
As for the crystal system: orthorhombic. Its space-group type is Pmm2. The size of the total moment comes out at 1.7 μB/cell. The value obtained for the volume is 12.947 Å³/atom. For the mass density, the calculation gives 9.95 Mg/m³. The value obtained for the formation energy is -33.1 kJ per mole of atoms.

Structure (POSCAR):
```
ErB4Rh7
1.0
2.911 0.000 0.000
0.000 9.622 0.000
0.000 0.000 5.547
Er B Rh
1 4 7
Direct
0.000 0.000 0.000
0.000 0.167 0.500
0.000 0.334 0.000
0.000 0.666 0.000
0.000 0.833 0.500
0.000 0.500 0.500
0.500 0.000 0.496
0.500 0.248 0.752
0.500 0.253 0.253
0.500 0.500 0.994
0.500 0.747 0.253
0.500 0.752 0.752
```